Entry 1:
The following is a DFT calculation (PBE-GGA) of an optimized crystal structure of CaSm3.

a b c (Å): 7.4127 7.4127 5.9385
angles (deg): 90.00 90.00 120.00
Fractional coordinates of all 8 atoms:
1 Sm 0.1645 0.3290 0.2500
2 Sm 0.8355 0.6710 0.7500
3 Sm 0.1645 0.8355 0.2500
4 Sm 0.8355 0.1645 0.7500
5 Sm 0.3290 0.1645 0.7500
6 Sm 0.6710 0.8355 0.2500
7 Ca 0.3333 0.6667 0.7500
8 Ca 0.6667 0.3333 0.2500

Values from the calculation:
Crystal system   hexagonal
Space group   P6_3/mmc (194)
Formation energy   0.1016 eV/atom

Entry 2:
The following is a DFT calculation (PBE-GGA) of an optimized crystal structure of Ca3Sm.

a b c (Å): 6.0180 6.0180 6.0180
angles (deg): 60.00 60.00 60.00
Fractional coordinates of all 4 atoms:
1 Ca 0.5000 0.5000 0.5000
2 Ca 0.2500 0.2500 0.2500
3 Ca 0.7500 0.7500 0.7500
4 Sm 0.0000 0.0000 0.0000

Values from the calculation:
Crystal system   cubic
Space group   Fm-3m (225)
Formation energy   0.1039 eV/atom